Computed, not measured: BaGdCuTe3 after structural relaxation at the meta-GGA r2SCAN level of DFT.

Computed properties:
Crystal system: orthorhombic
E (eV/atom): -26.863
Mass density (kg/m³): 6364

Cell: 4.463 14.994 11.556 Å, 90.00 90.00 90.00°
Space group Cmcm (No. 63)
One atom of each set of equivalent atoms:
Ba 0.000 0.249 0.250 [4 per cell]
Gd 0.000 0.500 0.000 [4 per cell]
Cu 0.000 0.033 0.750 [4 per cell]
Te 0.000 0.137 0.565 [8 per cell]
Te 0.000 0.432 0.750 [4 per cell]